Record 1
First-principles (PBE-GGA) data for crystalline K4Ge9O20 at its relaxed geometry, as listed in the Materials Project.

Calculated values
calculated density: 3.8 g cm⁻³
spin magnetization: 0.00 μB/f.u.
volume: 975.6 Å³ per cell
raw total energy: -6.160 eV per atom
energy of formation: -2.182 eV per atom
SG: I4_1/a (88)

Geometry as CIF:
```
data_K4Ge9O20
_chemical_formula_sum 'K8 Ge18 O40'
_symmetry_space_group_name_H-M 'P 1'
_symmetry_Int_Tables_number 1
_cell_length_a 11.929
_cell_length_b 11.929
_cell_length_c 11.929
_cell_angle_alpha 95.89
_cell_angle_beta 95.89
_cell_angle_gamma 142.65
loop_
_symmetry_equiv_pos_as_xyz
'x,y,z'
loop_
_atom_site_label
_atom_site_type_symbol
_atom_site_fract_x
_atom_site_fract_y
_atom_site_fract_z
Ge1 Ge 0.583 0.249 0.948
Ge2 Ge 0.885 0.333 0.834
Ge3 Ge 0.390 0.459 0.116
Ge4 Ge 0.301 0.635 0.052
Ge5 Ge 0.667 0.501 0.552
Ge6 Ge 0.725 0.610 0.068
Ge7 Ge 0.541 0.657 0.932
Ge8 Ge 0.860 0.291 0.384
Ge9 Ge 0.907 0.475 0.616
Ge10 Ge 0.709 0.093 0.568
Ge11 Ge 0.000 0.000 0.000
Ge12 Ge 0.343 0.275 0.884
Ge13 Ge 0.499 0.051 0.166
Ge14 Ge 0.365 0.417 0.666
Ge15 Ge 0.250 0.750 0.500
Ge16 Ge 0.751 0.699 0.334
Ge17 Ge 0.525 0.140 0.432
Ge18 Ge 0.949 0.115 0.448
O1 O 0.204 0.326 0.530
O2 O 0.327 0.796 0.123
O3 O 0.501 0.525 0.279
O4 O 0.796 0.673 0.470
O5 O 0.832 0.676 0.231
O6 O 0.152 0.212 0.118
O7 O 0.155 0.716 0.618
O8 O 0.454 0.077 0.030
O9 O 0.652 0.210 0.600
O10 O 0.462 0.845 0.561
O11 O 0.472 0.251 0.476
O12 O 0.640 0.698 0.100
O13 O 0.790 0.390 0.442
O14 O 0.749 0.225 0.221
O15 O 0.674 0.204 0.877
O16 O 0.098 0.538 0.382
O17 O 0.923 0.954 0.377
O18 O 0.966 0.848 0.061
O19 O 0.460 0.360 0.058
O20 O 0.324 0.555 0.156
O21 O 0.095 0.034 0.882
O22 O 0.418 0.074 0.269
O23 O 0.284 0.902 0.439
O24 O 0.475 0.754 0.976
O25 O 0.246 0.222 0.721
O26 O 0.046 0.424 0.970
O27 O 0.948 0.348 0.558
O28 O 0.778 0.499 0.024
O29 O 0.805 0.150 0.731
O30 O 0.788 0.905 0.939
O31 O 0.400 0.168 0.844
O32 O 0.004 0.528 0.779
O33 O 0.775 0.996 0.524
O34 O 0.302 0.402 0.942
O35 O 0.926 0.195 0.344
O36 O 0.610 0.052 0.400
O37 O 0.445 0.600 0.769
O38 O 0.576 0.546 0.623
O39 O 0.850 0.582 0.656
O40 O 0.598 0.540 0.900
K1 K 0.840 0.946 0.721
K2 K 0.369 0.590 0.393
K3 K 0.054 0.774 0.893
K4 K 0.024 0.631 0.221
K5 K 0.410 0.804 0.779
K6 K 0.881 0.160 0.107
K7 K 0.226 0.119 0.279
K8 K 0.196 0.976 0.607
```



Record 2
First-principles (PBE-GGA) data for crystalline DyNiP at its relaxed geometry, as listed in the Materials Project.

Calculated values
calculated density: 8.2 g cm⁻³
volume: 203.2 Å³ per cell
raw total energy: -6.485 eV per atom
energy of formation: -1.218 eV per atom
SG: P6_3/mmc (194)

Geometry as CIF:
```
data_DyNiP
_chemical_formula_sum 'Dy4 Ni4 P4'
_symmetry_space_group_name_H-M 'P 1'
_symmetry_Int_Tables_number 1
_cell_length_a 3.902
_cell_length_b 3.902
_cell_length_c 15.414
_cell_angle_alpha 90.00
_cell_angle_beta 90.00
_cell_angle_gamma 120.00
loop_
_symmetry_equiv_pos_as_xyz
'x,y,z'
loop_
_atom_site_label
_atom_site_type_symbol
_atom_site_fract_x
_atom_site_fract_y
_atom_site_fract_z
P1 P 0.667 0.333 0.123
P2 P 0.333 0.667 0.877
P3 P 0.667 0.333 0.377
P4 P 0.333 0.667 0.623
Ni1 Ni 0.667 0.333 0.628
Ni2 Ni 0.667 0.333 0.872
Ni3 Ni 0.333 0.667 0.372
Ni4 Ni 0.333 0.667 0.128
Dy1 Dy 0.000 0.000 0.000
Dy2 Dy 0.000 0.000 0.500
Dy3 Dy 0.000 0.000 0.250
Dy4 Dy 0.000 0.000 0.750
```



Record 3
First-principles (PBE-GGA) data for crystalline Ti3Sb at its relaxed geometry, as listed in the Materials Project.

Calculated values
calculated density: 6.2 g cm⁻³
volume: 142.0 Å³ per cell
raw total energy: -7.334 eV per atom
energy of formation: -0.428 eV per atom
SG: Pm-3n (223)

Geometry as CIF:
```
data_Ti3Sb
_chemical_formula_sum 'Ti6 Sb2'
_symmetry_space_group_name_H-M 'P 1'
_symmetry_Int_Tables_number 1
_cell_length_a 5.217
_cell_length_b 5.217
_cell_length_c 5.217
_cell_angle_alpha 90.00
_cell_angle_beta 90.00
_cell_angle_gamma 90.00
loop_
_symmetry_equiv_pos_as_xyz
'x,y,z'
loop_
_atom_site_label
_atom_site_type_symbol
_atom_site_fract_x
_atom_site_fract_y
_atom_site_fract_z
Ti1 Ti 0.500 0.750 0.000
Ti2 Ti 0.250 0.000 0.500
Ti3 Ti 0.000 0.500 0.250
Ti4 Ti 0.750 0.000 0.500
Ti5 Ti 0.500 0.250 0.000
Ti6 Ti 0.000 0.500 0.750
Sb1 Sb 0.500 0.500 0.500
Sb2 Sb 0.000 0.000 0.000
```



Record 4
First-principles (PBE-GGA) data for crystalline CuH6N2Cl2 at its relaxed geometry, as listed in the Materials Project.

Calculated values
calculated density: 2.3 g cm⁻³
spin magnetization: 0.99 μB/f.u.
volume: 241.3 Å³ per cell
raw total energy: -4.550 eV per atom
energy of formation: -0.587 eV per atom
SG: Cmcm (63)

Geometry as CIF:
```
data_CuH6N2Cl2
_chemical_formula_sum 'Cu2 H12 N4 Cl4'
_symmetry_space_group_name_H-M 'P 1'
_symmetry_Int_Tables_number 1
_cell_length_a 6.496
_cell_length_b 6.496
_cell_length_c 6.012
_cell_angle_alpha 90.00
_cell_angle_beta 90.00
_cell_angle_gamma 107.95
loop_
_symmetry_equiv_pos_as_xyz
'x,y,z'
loop_
_atom_site_label
_atom_site_type_symbol
_atom_site_fract_x
_atom_site_fract_y
_atom_site_fract_z
Cl1 Cl 0.340 0.660 0.250
Cl2 Cl 0.112 0.888 0.750
Cl3 Cl 0.660 0.340 0.750
Cl4 Cl 0.888 0.112 0.250
N1 N 0.627 0.852 0.750
N2 N 0.148 0.373 0.750
N3 N 0.373 0.148 0.250
N4 N 0.852 0.627 0.250
H1 H 0.329 0.288 0.250
H2 H 0.154 0.469 0.613
H3 H 0.531 0.846 0.887
H4 H 0.712 0.671 0.250
H5 H 0.469 0.154 0.387
H6 H 0.846 0.531 0.113
H7 H 0.531 0.846 0.613
H8 H 0.288 0.329 0.750
H9 H 0.671 0.712 0.750
H10 H 0.469 0.154 0.113
H11 H 0.846 0.531 0.387
H12 H 0.154 0.469 0.887
Cu1 Cu 0.112 0.888 0.250
Cu2 Cu 0.888 0.112 0.750
```



Record 5
First-principles (PBE-GGA) data for crystalline Li5SbS4 at its relaxed geometry, as listed in the Materials Project.

Calculated values
calculated density: 2.5 g cm⁻³
spin magnetization: 0.00 μB/f.u.
volume: 188.5 Å³ per cell
excess energy over the best structure of this formula in the dataset: 2 meV per atom
raw total energy: -4.039 eV per atom
energy of formation: -1.218 eV per atom
SG: Immm (71)

Geometry as CIF:
```
data_Li5SbS4
_chemical_formula_sum 'Li5 Sb1 S4'
_symmetry_space_group_name_H-M 'P 1'
_symmetry_Int_Tables_number 1
_cell_length_a 7.874
_cell_length_b 7.874
_cell_length_c 7.874
_cell_angle_alpha 151.21
_cell_angle_beta 126.05
_cell_angle_gamma 62.30
loop_
_symmetry_equiv_pos_as_xyz
'x,y,z'
loop_
_atom_site_label
_atom_site_type_symbol
_atom_site_fract_x
_atom_site_fract_y
_atom_site_fract_z
Li1 Li 0.606 0.824 0.783
Li2 Li 0.959 0.176 0.783
Li3 Li 0.500 0.500 0.000
Li4 Li 0.394 0.176 0.217
Li5 Li 0.041 0.824 0.217
S1 S 0.790 0.290 0.500
S2 S 0.270 0.000 0.270
S3 S 0.210 0.710 0.500
S4 S 0.730 0.000 0.730
Sb1 Sb 0.000 0.500 0.500
```



Record 6
First-principles (PBE-GGA) data for crystalline ScB4Ru4 at its relaxed geometry, as listed in the Materials Project.

Calculated values
calculated density: 8.0 g cm⁻³
spin magnetization: 0.00 μB/f.u.
volume: 409.3 Å³ per cell
raw total energy: -8.264 eV per atom
energy of formation: -0.470 eV per atom
SG: I4_1/acd (142)

Geometry as CIF:
```
data_ScB4Ru4
_chemical_formula_sum 'Sc4 B16 Ru16'
_symmetry_space_group_name_H-M 'P 1'
_symmetry_Int_Tables_number 1
_cell_length_a 9.136
_cell_length_b 9.136
_cell_length_c 9.136
_cell_angle_alpha 132.29
_cell_angle_beta 132.29
_cell_angle_gamma 69.77
loop_
_symmetry_equiv_pos_as_xyz
'x,y,z'
loop_
_atom_site_label
_atom_site_type_symbol
_atom_site_fract_x
_atom_site_fract_y
_atom_site_fract_z
B1 B 0.588 0.554 0.305
B2 B 0.217 0.251 0.305
B3 B 0.304 0.499 0.466
B4 B 0.501 0.967 0.805
B5 B 0.804 0.338 0.805
B6 B 0.088 0.783 0.034
B7 B 0.162 0.696 0.195
B8 B 0.717 0.412 0.966
B9 B 0.446 0.751 0.034
B10 B 0.249 0.283 0.695
B11 B 0.749 0.054 0.966
B12 B 0.946 0.912 0.695
B13 B 0.533 0.999 0.195
B14 B 0.662 0.467 0.466
B15 B 0.033 0.838 0.534
B16 B 0.001 0.196 0.534
Ru1 Ru 0.697 0.158 0.231
Ru2 Ru 0.053 0.092 0.269
Ru3 Ru 0.926 0.465 0.769
Ru4 Ru 0.842 0.074 0.539
Ru5 Ru 0.324 0.592 0.039
Ru6 Ru 0.824 0.785 0.731
Ru7 Ru 0.408 0.447 0.731
Ru8 Ru 0.535 0.303 0.461
Ru9 Ru 0.715 0.676 0.269
Ru10 Ru 0.215 0.947 0.039
Ru11 Ru 0.908 0.176 0.961
Ru12 Ru 0.197 0.965 0.539
Ru13 Ru 0.342 0.803 0.769
Ru14 Ru 0.553 0.285 0.961
Ru15 Ru 0.426 0.658 0.461
Ru16 Ru 0.035 0.574 0.231
Sc1 Sc 0.500 0.000 0.500
Sc2 Sc 0.250 0.250 0.000
Sc3 Sc 0.750 0.750 0.000
Sc4 Sc 0.000 0.500 0.500
```